Density functional theory data (PBE+U) for a geometry-optimized ErVO4 structure.

a b c (Å): 6.6437 6.6437 6.6437
angles (deg): 135.24 135.24 65.16
Sites, in units of the cell vectors:
1 O 0.6619 0.0685 0.8929
2 O 0.9315 0.8244 0.5934
3 Er 0.2500 0.7500 0.5000
4 O 0.0881 0.1815 0.6071
5 V 0.7500 0.2500 0.5000
6 O 0.2310 0.3381 0.4066
7 O 0.5744 0.4810 0.3929
8 Er 0.5000 0.5000 0.0000
9 O 0.8185 0.4256 0.9066
10 O 0.5190 0.9119 0.0934
11 O 0.1756 0.7690 0.1071
12 V 0.0000 0.0000 0.0000

Computed properties:
* space group: I4_1/a
* energy of formation from the pure elements: -3177 meV/atom